(1)
This record from the Materials Project describes a relaxed structure of Pb3O4. The functional is meta-GGA r2SCAN.

## Properties
Raw total energy = -28.71 eV/atom
Polymorph energy (0 for the lowest one) = 0.000 eV/f.u.

Cell and atoms, written as POSCAR:
```
Pb3O4
1.0
6.646 0.000 0.000
0.000 8.894 0.000
0.000 0.000 8.894
Pb O
12 16
Direct
0.500 0.163 0.856 Pb
0.000 0.856 0.837 Pb
0.000 0.144 0.163 Pb
0.500 0.337 0.356 Pb
0.000 0.644 0.337 Pb
0.750 0.000 0.500 Pb
0.250 0.500 0.000 Pb
0.000 0.356 0.663 Pb
0.250 0.000 0.500 Pb
0.500 0.837 0.144 Pb
0.500 0.663 0.644 Pb
0.750 0.500 0.000 Pb
0.500 0.865 0.406 O
0.750 0.171 0.329 O
0.000 0.906 0.365 O
0.250 0.671 0.171 O
0.250 0.329 0.829 O
0.500 0.135 0.594 O
0.000 0.594 0.865 O
0.250 0.171 0.329 O
0.500 0.365 0.094 O
0.750 0.829 0.671 O
0.750 0.329 0.829 O
0.000 0.094 0.635 O
0.000 0.406 0.135 O
0.250 0.829 0.671 O
0.750 0.671 0.171 O
0.500 0.635 0.906 O
```

(2)
This record from the Materials Project describes a relaxed structure of PbO2. The functional is meta-GGA r2SCAN.

## Properties
Raw total energy = -23.71 eV/atom

Cell and atoms, written as POSCAR:
```
PbO2
1.0
5.047 0.000 0.000
0.000 5.493 0.000
0.000 0.000 5.955
Pb O
4 8
Direct
0.500 0.750 0.821 Pb
0.000 0.250 0.679 Pb
0.500 0.250 0.179 Pb
0.000 0.750 0.321 Pb
0.267 0.428 0.904 O
0.767 0.572 0.596 O
0.233 0.928 0.596 O
0.733 0.072 0.904 O
0.267 0.928 0.096 O
0.767 0.072 0.404 O
0.233 0.428 0.404 O
0.733 0.572 0.096 O
```

(3)
This record from the Materials Project describes a relaxed structure of PbO2. The functional is meta-GGA r2SCAN.

## Properties
Raw total energy = -23.71 eV/atom

Cell and atoms, written as POSCAR:
```
PbO2
1.0
3.409 0.000 0.000
0.000 4.995 0.000
0.000 0.000 4.995
Pb O
2 4
Direct
0.000 0.000 0.000 Pb
0.500 0.500 0.500 Pb
0.000 0.307 0.307 O
0.500 0.193 0.807 O
0.500 0.807 0.193 O
0.000 0.693 0.693 O
```